An optimized crystal structure of MgInRh2. Source: the Materials Project, functional r2SCAN.

extended XYZ file:
```
4
Lattice="0.000 3.152 3.152 3.152 0.000 3.152 3.152 3.152 0.000" Properties=species:S:1:pos:R:3 pbc="T T T"
Mg 4.728 4.728 4.728
In 1.576 1.576 1.576
Rh 0.000 0.000 0.000
Rh 3.152 3.152 3.152
```

Calculated values
- E_form (eV per atom) = -0.59

An optimized crystal structure of MgSc2In. Source: the Materials Project, functional r2SCAN.

extended XYZ file:
```
4
Lattice="0.000 3.554 3.554 3.554 0.000 3.554 3.554 3.554 0.000" Properties=species:S:1:pos:R:3 pbc="T T T"
Mg 0.000 0.000 0.000
Sc 1.777 1.777 1.777
Sc 5.331 5.331 5.331
In 3.554 3.554 3.554
```

Calculated values
- E_form (eV per atom) = -0.34

The evaluated E for the records listed, in turn: -19.34 -12.73 eV per atom.